# 1
# HOs4C13O15 | Materials Project | PBE | relaxed
data_HOs4C13O15
_symmetry_space_group_name_H-M 'P 1'
_symmetry_Int_Tables_number 1
_cell_length_a 16.011
_cell_length_b 16.011
_cell_length_c 15.611
_cell_angle_alpha 104.82
_cell_angle_beta 104.82
_cell_angle_gamma 34.85
loop_
_symmetry_equiv_pos_as_xyz
'x,y,z'
loop_
_atom_site_label
_atom_site_fract_x
_atom_site_fract_y
_atom_site_fract_z
H1 0.104 0.676 0.515
H2 0.324 0.896 0.985
H3 0.676 0.104 0.015
H4 0.896 0.324 0.485
Os1 0.068 0.654 0.287
Os2 0.080 0.586 0.447
Os3 0.122 0.740 0.451
Os4 0.260 0.878 0.049
Os5 0.346 0.932 0.213
Os6 0.352 0.387 0.371
Os7 0.387 0.352 0.871
Os8 0.414 0.920 0.053
Os9 0.586 0.080 0.947
Os10 0.613 0.648 0.129
Os11 0.648 0.613 0.629
Os12 0.654 0.068 0.787
Os13 0.740 0.122 0.951
Os14 0.878 0.260 0.549
Os15 0.920 0.414 0.553
Os16 0.932 0.346 0.713
C1 0.024 0.198 0.781
C2 0.058 0.556 0.193
C3 0.065 0.479 0.385
C4 0.069 0.081 0.040
C5 0.081 0.069 0.540
C6 0.104 0.262 0.503
C7 0.124 0.207 0.672
C8 0.145 0.808 0.388
C9 0.166 0.778 0.570
C10 0.186 0.475 0.547
C11 0.192 0.855 0.112
C12 0.198 0.024 0.281
C13 0.207 0.124 0.172
C14 0.222 0.834 0.930
C15 0.255 0.544 0.255
C16 0.260 0.525 0.814
C17 0.262 0.104 0.003
C18 0.262 0.461 0.963
C19 0.282 0.338 0.800
C20 0.338 0.282 0.300
C21 0.444 0.942 0.307
C22 0.456 0.745 0.245
C23 0.461 0.262 0.463
C24 0.475 0.186 0.047
C25 0.475 0.740 0.686
C26 0.479 0.065 0.885
C27 0.521 0.935 0.115
C28 0.525 0.260 0.314
C29 0.525 0.814 0.953
C30 0.539 0.738 0.537
C31 0.544 0.255 0.755
C32 0.556 0.058 0.693
C33 0.662 0.718 0.700
C34 0.718 0.662 0.200
C35 0.738 0.539 0.037
C36 0.738 0.896 0.997
C37 0.740 0.475 0.186
C38 0.745 0.456 0.745
C39 0.778 0.166 0.070
C40 0.793 0.876 0.828
C41 0.802 0.976 0.719
C42 0.808 0.145 0.888
C43 0.814 0.525 0.453
C44 0.834 0.222 0.430
C45 0.855 0.192 0.612
C46 0.876 0.793 0.328
C47 0.896 0.738 0.497
C48 0.919 0.931 0.460
C49 0.931 0.919 0.960
C50 0.935 0.521 0.615
C51 0.942 0.444 0.807
C52 0.976 0.802 0.219
O1 0.047 0.795 0.965
O2 0.049 0.502 0.135
O3 0.056 0.413 0.351
O4 0.078 0.111 0.824
O5 0.105 0.249 0.164
O6 0.111 0.078 0.324
O7 0.146 0.848 0.152
O8 0.152 0.854 0.348
O9 0.172 0.216 0.973
O10 0.177 0.815 0.640
O11 0.181 0.626 0.774
O12 0.183 0.528 0.017
O13 0.185 0.823 0.860
O14 0.205 0.953 0.535
O15 0.216 0.172 0.473
O16 0.217 0.329 0.758
O17 0.249 0.105 0.664
O18 0.250 0.405 0.607
O19 0.329 0.217 0.258
O20 0.333 0.518 0.221
O21 0.333 0.526 0.437
O22 0.374 0.819 0.726
O23 0.405 0.250 0.107
O24 0.413 0.056 0.851
O25 0.469 0.498 0.096
O26 0.472 0.817 0.483
O27 0.474 0.667 0.063
O28 0.482 0.667 0.279
O29 0.498 0.469 0.596
O30 0.498 0.951 0.365
O31 0.502 0.049 0.635
O32 0.502 0.531 0.404
O33 0.518 0.333 0.721
O34 0.526 0.333 0.937
O35 0.528 0.183 0.517
O36 0.531 0.502 0.904
O37 0.587 0.944 0.149
O38 0.595 0.750 0.893
O39 0.626 0.181 0.274
O40 0.667 0.474 0.563
O41 0.667 0.482 0.779
O42 0.671 0.783 0.742
O43 0.750 0.595 0.393
O44 0.751 0.895 0.336
O45 0.783 0.671 0.242
O46 0.784 0.828 0.527
O47 0.795 0.047 0.465
O48 0.815 0.177 0.140
O49 0.817 0.472 0.983
O50 0.819 0.374 0.226
O51 0.823 0.185 0.360
O52 0.828 0.784 0.027
O53 0.848 0.146 0.652
O54 0.854 0.152 0.848
O55 0.889 0.922 0.676
O56 0.895 0.751 0.836
O57 0.922 0.889 0.176
O58 0.944 0.587 0.649
O59 0.951 0.498 0.865
O60 0.953 0.205 0.035
# Energy of formation in eV/atom: -0.83
# Total energy after the MP2020 corrections in eV for the cell shown: -1079.20
# Final energy in eV per cell: -1038.0

# 2
# Ga3Te3Br | Materials Project | PBE | relaxed
data_Ga3Te3Br
_symmetry_space_group_name_H-M 'P 1'
_symmetry_Int_Tables_number 1
_cell_length_a 11.224
_cell_length_b 4.168
_cell_length_c 20.026
_cell_angle_alpha 90.00
_cell_angle_beta 90.00
_cell_angle_gamma 90.00
loop_
_symmetry_equiv_pos_as_xyz
'x,y,z'
loop_
_atom_site_label
_atom_site_fract_x
_atom_site_fract_y
_atom_site_fract_z
Ga1 0.052 0.250 0.099
Ga2 0.161 0.250 0.633
Ga3 0.169 0.250 0.995
Ga4 0.331 0.750 0.495
Ga5 0.339 0.750 0.133
Ga6 0.448 0.750 0.599
Ga7 0.552 0.250 0.401
Ga8 0.661 0.250 0.867
Ga9 0.669 0.250 0.505
Ga10 0.831 0.750 0.005
Ga11 0.839 0.750 0.367
Ga12 0.948 0.750 0.901
Te1 0.090 0.250 0.868
Te2 0.176 0.250 0.501
Te3 0.228 0.250 0.191
Te4 0.272 0.750 0.691
Te5 0.324 0.750 0.001
Te6 0.410 0.750 0.368
Te7 0.590 0.250 0.632
Te8 0.676 0.250 0.999
Te9 0.728 0.250 0.309
Te10 0.772 0.750 0.809
Te11 0.824 0.750 0.499
Te12 0.910 0.750 0.132
Br1 0.040 0.750 0.333
Br2 0.460 0.250 0.833
Br3 0.540 0.750 0.167
Br4 0.960 0.250 0.667
# Energy of formation in eV/atom: -0.56
# Total energy after the MP2020 corrections in eV for the cell shown: -96.16
# Final energy in eV per cell: -94.0

Q: Among the records above, which one has the highest total energy after the MP2020 corrections?
A: Ga3Te3Br

Q: The highest energy of formation belongs to which entry?
A: Ga3Te3Br

Q: Which of these has the lowest final energy?
A: HOs4C13O15

Q: The lowest total energy after the MP2020 corrections belongs to which entry?
A: HOs4C13O15